The following is a PBE calculation of an optimized crystal structure of Ca3Si3H2O10, from Materials Project.

Formation energy in eV per atom: -3.077
Space group: P-1 (2)
Theoretical density in g cm⁻³: 2.80

```
Ca3Si3H2O10
1.0
6.8975 0.0000 0.0000
-0.6814 7.0198 0.0000
-3.0340 -1.2702 8.9819
Ca Si H O
6 6 4 20
direct
0.1774 0.2805 0.3440
0.2462 0.0953 0.6809
0.2687 0.8442 0.0091
0.7313 0.1558 0.9909
0.7538 0.9047 0.3191
0.8226 0.7195 0.6560
0.2666 0.8033 0.3740
0.2766 0.3008 0.0501
0.3277 0.6267 0.6600
0.6723 0.3733 0.3399
0.7234 0.6992 0.9499
0.7334 0.1967 0.6260
0.0263 0.3987 0.6549
0.0954 0.4682 0.8815
0.9046 0.5318 0.1185
0.9737 0.6013 0.3451
0.0852 0.1944 0.0884
0.0850 0.6091 0.2927
0.1484 0.9773 0.4188
0.1954 0.7695 0.7247
0.2069 0.4087 0.5943
0.2214 0.4986 0.9718
0.3643 0.1546 0.9494
0.3995 0.8544 0.2691
0.4082 0.7230 0.5298
0.4464 0.3866 0.2163
0.5536 0.6134 0.7837
0.5918 0.2770 0.4702
0.6005 0.1456 0.7309
0.6357 0.8454 0.0506
0.7786 0.5014 0.0282
0.7931 0.5913 0.4057
0.8046 0.2305 0.2753
0.8516 0.0227 0.5812
0.9150 0.3909 0.7073
0.9148 0.8056 0.9116
```

The following is a PBE calculation of an optimized crystal structure of CaU2Si2H4O12, from Materials Project.

Formation energy in eV per atom: -2.664
Space group: P2_1/c (14)
Theoretical density in g cm⁻³: 3.97

```
CaU2Si2H4O12
1.0
7.0396 0.0000 0.0000
0.0000 12.9181 0.0000
-0.0810 0.0000 14.1320
Ca U Si H O
4 8 8 16 48
direct
0.2452 0.0250 0.3045
0.2452 0.4750 0.8045
0.7548 0.5250 0.1955
0.7548 0.9750 0.6955
0.2548 0.2460 0.4754
0.2548 0.2540 0.9754
0.4978 0.2429 0.7221
0.4978 0.2571 0.2221
0.5022 0.7429 0.7779
0.5022 0.7571 0.2779
0.7452 0.7460 0.0246
0.7452 0.7540 0.5246
0.0570 0.1933 0.7261
0.0570 0.3067 0.2261
0.3000 0.7208 0.5259
0.3000 0.7792 0.0259
0.7000 0.2208 0.9741
0.7000 0.2792 0.4741
0.9430 0.6933 0.7739
0.9430 0.8067 0.2739
0.1266 0.6576 0.2615
0.1266 0.8424 0.7615
0.1278 0.6283 0.0176
0.1278 0.8717 0.5176
0.2437 0.5421 0.5140
0.2437 0.9579 0.0140
0.3270 0.5166 0.1139
0.3270 0.9834 0.6139
0.6730 0.0166 0.3861
0.6730 0.4834 0.8861
0.7563 0.0421 0.9860
0.7563 0.4579 0.4860
0.8722 0.1283 0.4824
0.8722 0.3717 0.9824
0.8734 0.1576 0.2385
0.8734 0.3424 0.7385
0.0120 0.5766 0.7722
0.0120 0.9234 0.2722
0.1056 0.7023 0.0254
0.1056 0.7977 0.5254
0.1451 0.7309 0.2750
0.1451 0.7691 0.7750
0.1898 0.2413 0.8129
0.1898 0.2587 0.3129
0.1904 0.6109 0.5262
0.1904 0.8891 0.0262
0.1963 0.2237 0.6364
0.1963 0.2763 0.1364
0.2511 0.1014 0.4536
0.2511 0.3986 0.9536
0.2574 0.1136 0.9906
0.2574 0.3864 0.4906
0.4377 0.7497 0.4372
0.4377 0.7503 0.9372
0.4419 0.7451 0.6150
0.4419 0.7549 0.1150
0.4607 0.6009 0.7819
0.4607 0.8991 0.2819
0.4682 0.1142 0.2231
0.4682 0.3858 0.7231
0.5318 0.6142 0.2769
0.5318 0.8858 0.7769
0.5393 0.1009 0.7181
0.5393 0.3991 0.2181
0.5581 0.2451 0.8850
0.5581 0.2549 0.3850
0.5623 0.2497 0.0628
0.5623 0.2503 0.5628
0.7426 0.6136 0.5094
0.7426 0.8864 0.0094
0.7489 0.6014 0.0464
0.7489 0.8986 0.5464
0.8037 0.7237 0.8636
0.8037 0.7763 0.3636
0.8096 0.1109 0.9738
0.8096 0.3891 0.4738
0.8102 0.7413 0.6871
0.8102 0.7587 0.1871
0.8549 0.2309 0.2250
0.8549 0.2691 0.7250
0.8944 0.2023 0.4746
0.8944 0.2977 0.9746
0.9880 0.0766 0.7278
0.9880 0.4234 0.2278
```

The following is a PBE calculation of an optimized crystal structure of CaU2Si2H4O12, from Materials Project.

Formation energy in eV per atom: -2.530
Space group: P2_1 (4)
Theoretical density in g cm⁻³: 3.89

```
CaU2Si2H4O12
1.0
6.8596 0.0000 0.0000
0.0000 7.0350 0.0000
-1.3534 0.0000 13.5869
Ca U Si H O
2 4 4 8 24
direct
0.1803 0.0000 0.2374
0.8197 0.5000 0.7626
0.3581 0.8358 0.5018
0.3795 0.8203 0.9914
0.6205 0.3203 0.0086
0.6419 0.3358 0.4982
0.1612 0.3278 0.9614
0.1750 0.3340 0.4510
0.8250 0.8340 0.5490
0.8388 0.8278 0.0386
0.0278 0.3819 0.1093
0.0908 0.4814 0.6452
0.2619 0.4037 0.3040
0.4764 0.6188 0.7353
0.5236 0.1188 0.2647
0.7381 0.9037 0.6960
0.9092 0.9814 0.3548
0.9722 0.8819 0.8907
0.0076 0.8158 0.9527
0.0407 0.8341 0.5129
0.0417 0.3494 0.8576
0.1568 0.3231 0.3244
0.3096 0.1427 0.9809
0.3160 0.5133 0.4882
0.3168 0.4980 0.0011
0.3179 0.1574 0.4909
0.3213 0.8355 0.3635
0.3769 0.7975 0.8600
0.3777 0.8474 0.1253
0.4058 0.8380 0.6363
0.5942 0.3380 0.3637
0.6223 0.3474 0.8747
0.6231 0.2975 0.1400
0.6787 0.3355 0.6365
0.6821 0.6574 0.5091
0.6832 0.9980 0.9989
0.6840 0.0133 0.5118
0.6904 0.6427 0.0191
0.8432 0.8231 0.6756
0.9583 0.8494 0.1424
0.9593 0.3341 0.4871
0.9924 0.3158 0.0473
```

The following is a PBE calculation of an optimized crystal structure of CaZnSiH2O5, from Materials Project.

Formation energy in eV per atom: -2.464
Space group: Cc (9)
Theoretical density in g cm⁻³: 3.23

```
CaZnSiH2O5
1.0
2.5830 -8.0504 0.0000
2.5830 8.0504 0.0000
-1.2572 0.0000 5.3276
Ca Zn Si H O
2 2 2 4 10
direct
0.0718 0.9282 0.5000
0.9282 0.0718 0.0000
0.0932 0.5939 0.1413
0.5939 0.0932 0.6413
0.1973 0.4729 0.6210
0.4729 0.1973 0.1210
0.5156 0.5395 0.2430
0.5395 0.5156 0.7430
0.6137 0.7794 0.4176
0.7794 0.6137 0.9176
0.0022 0.4155 0.7930
0.0592 0.3765 0.3225
0.2003 0.2907 0.6945
0.2907 0.2003 0.1945
0.3765 0.0592 0.8225
0.4155 0.0022 0.2930
0.5200 0.8066 0.6876
0.6649 0.7478 0.2838
0.7478 0.6649 0.7838
0.8066 0.5200 0.1876
```

The following is a PBE calculation of an optimized crystal structure of CaZn2Si2HO7, from Materials Project.

Formation energy in eV per atom: -2.455
Space group: Ama2 (40)
Theoretical density in g cm⁻³: 3.28

```
CaZn2Si2HO7
1.0
12.6562 0.0000 0.0000
0.0000 3.1304 4.3470
0.0000 -3.1304 4.3470
Ca Zn Si H O
2 4 4 2 14
direct
0.2500 0.2448 0.7552
0.7500 0.7552 0.2448
0.0000 0.1010 0.1010
0.0000 0.5984 0.5984
0.5000 0.1010 0.1010
0.5000 0.5984 0.5984
0.1321 0.6095 0.1165
0.3679 0.6095 0.1165
0.6321 0.1165 0.6095
0.8679 0.1165 0.6095
0.2500 0.9820 0.4320
0.7500 0.4320 0.9820
0.0447 0.4735 0.9713
0.1254 0.4877 0.4368
0.1262 0.9302 0.0077
0.2500 0.5208 0.0231
0.3738 0.9302 0.0077
0.3746 0.4877 0.4368
0.4553 0.4735 0.9713
0.5447 0.9713 0.4735
0.6254 0.4368 0.4877
0.6262 0.0077 0.9302
0.7500 0.0231 0.5208
0.8738 0.0077 0.9302
0.8746 0.4368 0.4877
0.9553 0.9713 0.4735
```

The following is a PBE calculation of an optimized crystal structure of CaSm4H4O8, from Materials Project.

Formation energy in eV per atom: -2.538
Space group: Pm (6)
Theoretical density in g cm⁻³: 5.69

```
CaSm4H4O8
1.0
5.5837 0.0000 0.0000
0.0000 3.6310 0.0000
-0.3553 0.0000 11.1271
Ca Sm H O
1 4 4 8
direct
0.0000 0.0000 0.0000
0.1716 0.0000 0.3819
0.4799 0.0000 0.8740
0.6496 0.5000 0.1728
0.9479 0.5000 0.6715
0.2309 0.0000 0.1562
0.3933 0.0000 0.6240
0.7309 0.5000 0.4291
0.9229 0.5000 0.8980
0.1654 0.5000 0.8621
0.2201 0.0000 0.5998
0.3726 0.0000 0.1031
0.4040 0.5000 0.3380
0.7053 0.0000 0.7031
0.7499 0.5000 0.9394
0.9018 0.5000 0.4556
0.9183 0.0000 0.2132
```

The following is a PBE calculation of an optimized crystal structure of CaTi6H4O14, from Materials Project.

Formation energy in eV per atom: -2.880
Space group: P1 (1)
Theoretical density in g cm⁻³: 3.26

```
CaTi6H4O14
1.0
3.8237 0.0000 0.0000
-1.7399 8.0227 0.0000
-0.0497 -1.8630 9.2100
Ca Ti H O
1 6 4 14
direct
0.0000 0.0000 0.0000
0.2636 0.5251 0.3279
0.3132 0.6251 0.0143
0.3428 0.7034 0.7146
0.6313 0.2332 0.3662
0.6738 0.3334 0.0740
0.7148 0.4133 0.7566
0.4121 0.9770 0.5893
0.4651 0.8583 0.3092
0.5056 0.0710 0.7616
0.7802 0.9590 0.4391
0.1516 0.2705 0.3540
0.1979 0.3817 0.0864
0.2428 0.4776 0.7952
0.3184 0.6404 0.5079
0.3508 0.7113 0.2196
0.4055 0.9558 0.6891
0.4112 0.8241 0.9386
0.5650 0.9779 0.3946
0.5756 0.1285 0.1381
0.6333 0.2279 0.8706
0.6614 0.2972 0.5765
0.7374 0.4642 0.2933
0.7858 0.5684 0.9979
0.8258 0.6644 0.7279
```

The following is a PBE calculation of an optimized crystal structure of Ca5P3H, from Materials Project.

Formation energy in eV per atom: -1.091
Space group: P6_3/mcm (193)
Theoretical density in g cm⁻³: 2.52

```
Ca5P3H
1.0
8.2706 0.0000 0.0000
-4.1353 7.1626 0.0000
0.0000 0.0000 6.5597
Ca P H
10 6 2
direct
0.0000 0.2489 0.2500
0.0000 0.7511 0.7500
0.2489 0.0000 0.2500
0.2489 0.2489 0.7500
0.3333 0.6667 0.0000
0.3333 0.6667 0.5000
0.6667 0.3333 0.0000
0.6667 0.3333 0.5000
0.7511 0.0000 0.7500
0.7511 0.7511 0.2500
0.0000 0.3909 0.7500
0.0000 0.6091 0.2500
0.3909 0.0000 0.7500
0.3909 0.3909 0.2500
0.6091 0.0000 0.2500
0.6091 0.6091 0.7500
0.0000 0.0000 0.0000
0.0000 0.0000 0.5000
```

The following is a PBE calculation of an optimized crystal structure of CaH3Pd, from Materials Project.

Formation energy in eV per atom: -0.515
Space group: Pm-3m (221)
Theoretical density in g cm⁻³: 4.80

```
CaH3Pd
1.0
3.7271 0.0000 0.0000
0.0000 3.7271 0.0000
0.0000 0.0000 3.7271
Ca H Pd
1 3 1
direct
0.0000 0.0000 0.0000
0.0000 0.5000 0.5000
0.5000 0.0000 0.5000
0.5000 0.5000 0.0000
0.5000 0.5000 0.5000
```

The following is a PBE calculation of an optimized crystal structure of CaH2Pd, from Materials Project.

Formation energy in eV per atom: -0.554
Space group: P4/mmm (123)
Theoretical density in g cm⁻³: 4.99

```
CaH2Pd
1.0
3.7287 0.0000 0.0000
0.0000 3.7287 0.0000
0.0000 0.0000 3.5527
Ca H Pd
1 2 1
direct
0.0000 0.0000 0.0000
0.0000 0.5000 0.5000
0.5000 0.0000 0.5000
0.5000 0.5000 0.5000
```

The following is a PBE calculation of an optimized crystal structure of RbCaH3, from Materials Project.

Formation energy in eV per atom: -0.481
Space group: Pm-3m (221)
Theoretical density in g cm⁻³: 2.27

```
RbCaH3
1.0
4.5443 0.0000 0.0000
0.0000 4.5443 0.0000
0.0000 0.0000 4.5443
Rb Ca H
1 1 3
direct
0.0000 0.0000 0.0000
0.5000 0.5000 0.5000
0.0000 0.5000 0.5000
0.5000 0.0000 0.5000
0.5000 0.5000 0.0000
```